Entry from the Materials Project: an optimized crystal structure of BeH2O2 (PBE-GGA).

Cell and atoms, written as CIF:
```
data_BeH2O2
_chemical_formula_sum 'Be12 H24 O24'
_cell_length_a 8.048
_cell_length_b 5.241
_cell_length_c 11.923
_cell_angle_alpha 90.00
_cell_angle_beta 100.16
_cell_angle_gamma 90.00
_symmetry_space_group_name_H-M 'P 1'
_symmetry_Int_Tables_number 1
loop_
_symmetry_equiv_pos_as_xyz
'x,y,z'
loop_
_atom_site_label
_atom_site_type_symbol
_atom_site_fract_x
_atom_site_fract_y
_atom_site_fract_z
_atom_site_occupancy
O1 O 0.255 0.069 0.198 1
O2 O 0.556 0.296 0.634 1
Be1 Be 0.093 0.306 0.993 1
O3 O 0.725 0.772 0.886 1
O4 O 0.444 0.796 0.366 1
H1 H 0.049 0.525 0.318 1
O5 O 0.804 0.916 0.103 1
H2 H 0.061 0.466 0.629 1
H3 H 0.480 0.031 0.817 1
O6 O 0.636 0.583 0.213 1
Be2 Be 0.429 0.073 0.296 1
Be3 Be 0.267 0.826 0.720 1
H4 H 0.226 0.044 0.555 1
O7 O 0.196 0.416 0.897 1
H5 H 0.367 0.201 0.079 1
H6 H 0.352 0.820 0.068 1
Be4 Be 0.323 0.367 0.815 1
H7 H 0.009 0.198 0.248 1
H8 H 0.495 0.307 0.449 1
O8 O 0.364 0.083 0.787 1
Be5 Be 0.733 0.326 0.280 1
O9 O 0.600 0.801 0.615 1
H9 H 0.520 0.531 0.183 1
H10 H 0.505 0.807 0.551 1
Be6 Be 0.571 0.573 0.704 1
H11 H 0.599 0.298 0.979 1
H12 H 0.648 0.320 0.932 1
H13 H 0.633 0.701 0.921 1
H14 H 0.951 0.025 0.682 1
O10 O 0.055 0.445 0.547 1
H15 H 0.951 0.470 0.111 1
Be7 Be 0.319 0.571 0.367 1
Be8 Be 0.677 0.867 0.185 1
O11 O 0.745 0.569 0.802 1
H16 H 0.049 0.970 0.889 1
O12 O 0.400 0.301 0.385 1
Be9 Be 0.909 0.219 0.512 1
Be10 Be 0.681 0.071 0.633 1
H17 H 0.161 0.595 0.879 1
O13 O 0.763 0.366 0.421 1
O14 O 0.275 0.272 0.114 1
O15 O 0.394 0.590 0.756 1
O16 O 0.916 0.321 0.234 1
H18 H 0.839 0.095 0.121 1
H19 H 0.939 0.966 0.371 1
H20 H 0.401 0.798 0.021 1
O17 O 0.135 0.639 0.363 1
O18 O 0.606 0.090 0.244 1
O19 O 0.945 0.945 0.453 1
H21 H 0.774 0.544 0.445 1
O20 O 0.084 0.821 0.766 1
O21 O 0.237 0.866 0.579 1
O22 O 0.865 0.139 0.637 1
Be11 Be 0.091 0.719 0.488 1
H22 H 0.991 0.698 0.752 1
H23 H 0.549 0.724 0.349 1
O23 O 0.021 0.023 0.964 1
Be12 Be 0.907 0.806 0.007 1
H24 H 0.451 0.224 0.651 1
O24 O 0.979 0.523 0.036 1
```

Calculated values
**Total moment**: 0.01 Bohr magnetons per cell
**E**: -334.74 eV/cell
**Excess energy over the best structure of this formula in the dataset**: 0.230 eV per atom
**Crystal system**: monoclinic